[1]
First-principles (PBE) data for Ag3AsO4 after structural relaxation, as listed in Materials Project.

Cell: 6.247 6.247 6.247 Å, 90.00 90.00 90.00°
Fractional coordinates of all 16 atoms:
O 0.661 0.339 0.661
Ag 0.500 0.750 0.000
O 0.161 0.839 0.161
Ag 0.000 0.500 0.250
Ag 0.000 0.500 0.750
As 0.000 0.000 0.000
Ag 0.250 0.000 0.500
O 0.161 0.161 0.839
O 0.839 0.161 0.161
As 0.500 0.500 0.500
Ag 0.500 0.250 0.000
Ag 0.750 0.000 0.500
O 0.339 0.661 0.661
O 0.339 0.339 0.339
O 0.839 0.839 0.839
O 0.661 0.661 0.339

Computed properties:
The calculation puts the raw total energy at -75.91 eV per cell. The formation energy from the elements is -0.9693 eV/atom.

***

[2]
First-principles (PBE) data for Ag2As2O7 after structural relaxation, as listed in Materials Project.

Cell: 13.762 6.330 8.135 Å, 60.18 90.00 90.00°
Fractional coordinates of all 44 atoms:
O 0.263 0.376 0.060
O 0.374 0.655 0.622
O 0.954 0.780 0.603
O 0.625 0.344 0.736
O 0.125 0.656 0.764
Ag 0.741 0.848 0.065
O 0.737 0.624 0.940
O 0.763 0.624 0.440
O 0.233 0.899 0.336
Ag 0.241 0.152 0.435
Ag 0.520 0.058 0.177
O 0.454 0.220 0.897
As 0.502 0.500 0.318
O 0.767 0.101 0.664
As 0.197 0.639 0.948
O 0.237 0.376 0.560
As 0.498 0.500 0.682
O 0.459 0.322 0.224
O 0.541 0.695 0.432
Ag 0.020 0.942 0.323
O 0.626 0.345 0.378
Ag 0.259 0.152 0.935
O 0.459 0.305 0.568
As 0.303 0.639 0.448
O 0.875 0.344 0.236
O 0.126 0.655 0.122
O 0.375 0.656 0.264
O 0.541 0.678 0.776
Ag 0.759 0.848 0.565
O 0.959 0.678 0.276
As 0.803 0.361 0.052
O 0.046 0.220 0.397
As 0.002 0.500 0.182
O 0.733 0.101 0.164
O 0.041 0.305 0.068
O 0.959 0.695 0.932
O 0.041 0.322 0.724
As 0.998 0.500 0.818
O 0.546 0.780 0.103
O 0.874 0.345 0.878
As 0.697 0.361 0.552
Ag 0.980 0.058 0.677
O 0.267 0.899 0.836
Ag 0.480 0.942 0.823

Computed properties:
The value obtained for the total moment is 0.59 μB/f.u. The calculation puts the raw total energy at -228.63 eV per cell. The formation energy from the elements is -1.1225 eV/atom.

***

[3]
First-principles (PBE) data for Ag3AsO4 after structural relaxation, as listed in Materials Project.

Cell: 6.247 6.247 6.247 Å, 90.04 90.04 90.04°
Fractional coordinates of all 16 atoms:
O 0.839 0.839 0.839
O 0.160 0.840 0.161
Ag 0.000 0.500 0.231
As 0.500 0.500 0.500
Ag 0.500 0.231 0.000
Ag 0.500 0.731 0.000
O 0.660 0.661 0.340
O 0.161 0.160 0.840
As 0.000 0.000 0.000
O 0.340 0.660 0.661
Ag 0.000 0.500 0.731
Ag 0.731 0.000 0.500
O 0.339 0.339 0.339
O 0.840 0.161 0.160
Ag 0.231 0.000 0.500
O 0.661 0.340 0.660

Computed properties:
The calculation puts the raw total energy at -75.91 eV per cell. The formation energy from the elements is -0.9693 eV/atom.

***

> What is the formula in the third record?

Ag3AsO4

***

Please write out number 2 again, unchanged.
First-principles (PBE) data for Ag2As2O7 after structural relaxation, as listed in Materials Project.

Cell: 13.762 6.330 8.135 Å, 60.18 90.00 90.00°
Fractional coordinates of all 44 atoms:
O 0.263 0.376 0.060
O 0.374 0.655 0.622
O 0.954 0.780 0.603
O 0.625 0.344 0.736
O 0.125 0.656 0.764
Ag 0.741 0.848 0.065
O 0.737 0.624 0.940
O 0.763 0.624 0.440
O 0.233 0.899 0.336
Ag 0.241 0.152 0.435
Ag 0.520 0.058 0.177
O 0.454 0.220 0.897
As 0.502 0.500 0.318
O 0.767 0.101 0.664
As 0.197 0.639 0.948
O 0.237 0.376 0.560
As 0.498 0.500 0.682
O 0.459 0.322 0.224
O 0.541 0.695 0.432
Ag 0.020 0.942 0.323
O 0.626 0.345 0.378
Ag 0.259 0.152 0.935
O 0.459 0.305 0.568
As 0.303 0.639 0.448
O 0.875 0.344 0.236
O 0.126 0.655 0.122
O 0.375 0.656 0.264
O 0.541 0.678 0.776
Ag 0.759 0.848 0.565
O 0.959 0.678 0.276
As 0.803 0.361 0.052
O 0.046 0.220 0.397
As 0.002 0.500 0.182
O 0.733 0.101 0.164
O 0.041 0.305 0.068
O 0.959 0.695 0.932
O 0.041 0.322 0.724
As 0.998 0.500 0.818
O 0.546 0.780 0.103
O 0.874 0.345 0.878
As 0.697 0.361 0.552
Ag 0.980 0.058 0.677
O 0.267 0.899 0.836
Ag 0.480 0.942 0.823

Computed properties:
The value obtained for the total moment is 0.59 μB/f.u. The calculation puts the raw total energy at -228.63 eV per cell. The formation energy from the elements is -1.1225 eV/atom.